{"formula": "TbO2", "functional": "PBE", "state": "optimized geometry", "lattice": [[0.000, 2.736, 2.736], [2.736, 0.000, 2.736], [2.736, 2.736, 0.000]], "species": ["Tb", "O", "O"], "fractional_positions": [[0.000, 0.000, 0.000], [0.250, 0.250, 0.250], [0.750, 0.750, 0.750]], "sg": "Fm-3m", "volume_a3_per_cell": 41.0, "mass_density_g_cm3": 7.74, "formation_enthalpy_0k_ev_per_atom": -3.19}